No. 1
DFT (GGA-PBE) results for a relaxed Ba2In5As5 crystal.

abc: 17.751 4.379 18.269
angles: 90.00 90.00 90.00
Space group Pnma (No. 62)
Unique sites:
Ba: 0.021 0.250 0.120 x4
Ba: 0.043 0.250 0.630 x4
In: 0.157 0.250 0.312 x4
In: 0.170 0.750 0.472 x4
In: 0.172 0.250 0.941 x4
In: 0.188 0.750 0.778 x4
In: 0.211 0.750 0.127 x4
As: 0.081 0.250 0.443 x4
As: 0.102 0.250 0.809 x4
As: 0.106 0.750 0.237 x4
As: 0.113 0.750 0.012 x4
As: 0.195 0.750 0.626 x4

Results
ρ = 5722 kg/m3
Energy of formation from the pure elements = -0.53 eV/atom

---

No. 2
DFT (GGA-PBE) results for a relaxed Ba3InAs3 crystal.

abc: 14.205 4.680 14.706
angles: 90.00 90.00 90.00
Space group Pnma (No. 62)
Unique sites:
Ba: 0.077 0.250 0.108 x4
Ba: 0.136 0.750 0.503 x4
Ba: 0.222 0.750 0.798 x4
In: 0.055 0.250 0.703 x4
As: 0.042 0.250 0.351 x4
As: 0.089 0.250 0.885 x4
As: 0.234 0.250 0.627 x4

Results
ρ = 5106 kg/m3
Energy of formation from the pure elements = -0.98 eV/atom

---

No. 3
DFT (GGA-PBE) results for a relaxed K5BaNbAs4 crystal.

abc: 10.427 18.291 8.192
angles: 90.00 91.24 90.00
Space group Cc (No. 9)
Unique sites:
K: 0.000 0.030 0.000 x4
K: 0.203 0.233 0.001 x4
K: 0.212 0.430 0.170 x4
K: 0.276 0.068 0.692 x4
K: 0.490 0.140 0.178 x4
Ba: 0.294 0.265 0.497 x4
Nb: 0.494 0.333 0.893 x4
As: 0.197 0.104 0.306 x4
As: 0.297 0.396 0.782 x4
As: 0.492 0.329 0.200 x4
As: 0.497 0.202 0.790 x4

Results
ρ = 3085 kg/m3
Energy of formation from the pure elements = -0.62 eV/atom

---

No. 4
DFT (GGA-PBE) results for a relaxed Ba3LiAs2O8 crystal.

abc: 10.157 5.891 7.623
angles: 90.00 90.00 90.00
Space group C2/m (No. 12)
Unique sites:
Ba: 0.000 0.000 0.000 x2
Ba: 0.168 0.500 0.351 x4
Li: 0.000 0.000 0.500 x2
As: 0.165 0.500 0.785 x4
O: 0.084 0.259 0.691 x8
O: 0.170 0.500 0.016 x4
O: 0.175 0.000 0.315 x4

Results
ρ = 5073 kg/m3
E above lowest polymorph = 0.000 eV per atom
Energy of formation from the pure elements = -2.46 eV/atom

---

No. 5
DFT (GGA-PBE) results for a relaxed Ba3LiAs2O8 crystal.

abc: 10.414 6.321 7.688
angles: 90.00 115.65 90.00
Space group C2 (No. 5)
Unique sites:
Ba: 0.000 0.000 0.000 x2
Ba: 0.205 0.087 0.617 x4
Li: 0.000 0.465 0.000 x2
As: 0.080 0.582 0.741 x4
O: 0.012 0.830 0.322 x4
O: 0.033 0.361 0.265 x4
O: 0.158 0.618 0.996 x4
O: 0.229 0.534 0.694 x4

Results
ρ = 5072 kg/m3
E above lowest polymorph = 0.027 eV per atom
Energy of formation from the pure elements = -2.43 eV/atom

---

No. 6
DFT (GGA-PBE) results for a relaxed Ba3LiAs2O8 crystal.

abc: 5.8933 5.8933 22.8143
angles: 90.00 90.00 120.00
Space group R-3m (No. 166, hexagonal axes)
Unique sites:
Ba: 0.0000 0.0000 0.0000 x3
Ba: 0.0000 0.0000 0.2081 x6
Li: 0.0000 0.0000 0.5000 x3
As: 0.0000 0.0000 0.3975 x6
O: 0.0000 0.0000 0.3206 x6
O: 0.0220 0.5110 0.2325 x18

Results
ρ = 5058 kg/m3
E above lowest polymorph = 0.047 eV per atom
Energy of formation from the pure elements = -2.41 eV/atom

---

No. 7
DFT (GGA-PBE) results for a relaxed Ba3LiAs2O8 crystal.

abc: 5.692 6.215 7.900
angles: 76.87 69.08 62.84
Space group P1 (No. 1)
Unique sites:
Ba: 0.000 0.000 0.000 x1
Ba: 0.163 0.351 0.328 x1
Ba: 0.420 0.387 0.773 x1
Li: 0.326 0.829 0.510 x1
As: 0.575 0.690 0.160 x1
As: 0.791 0.828 0.585 x1
O: 0.432 0.971 0.654 x1
O: 0.447 0.561 0.054 x1
O: 0.466 0.020 0.049 x1
O: 0.536 0.516 0.402 x1
O: 0.895 0.855 0.351 x1
O: 0.903 0.525 0.661 x1
O: 0.937 0.554 0.055 x1
O: 0.938 0.969 0.656 x1

Results
ρ = 4997 kg/m3
E above lowest polymorph = 0.023 eV per atom
Energy of formation from the pure elements = -2.44 eV/atom

---

No. 8
DFT (GGA-PBE) results for a relaxed Ba3LiAs2O8 crystal.

abc: 5.8679 5.8679 23.9619
angles: 90.00 90.00 120.00
Space group R3m (No. 160, hexagonal axes)
Unique sites:
Ba: 0.0000 0.0000 0.0000 x3
Ba: 0.0000 0.0000 0.1994 x3
Ba: 0.0000 0.0000 0.7657 x3
Li: 0.0000 0.0000 0.8850 x3
As: 0.0000 0.0000 0.3906 x3
As: 0.0000 0.0000 0.5831 x3
O: 0.0000 0.0000 0.3188 x3
O: 0.0000 0.0000 0.6637 x3
O: 0.0124 0.5062 0.2162 x9
O: 0.1738 0.3477 0.0832 x9

Results
ρ = 4858 kg/m3
E above lowest polymorph = 0.067 eV per atom
Energy of formation from the pure elements = -2.39 eV/atom

---

No. 9
DFT (GGA-PBE) results for a relaxed Ba3AsN crystal.

abc: 5.488 5.488 5.488
angles: 90.00 90.00 90.00
Space group Pm-3m (No. 221)
Unique sites:
Ba: 0.000 0.000 0.500 x3
As: 0.500 0.500 0.500 x1
N: 0.000 0.000 0.000 x1

Results
ρ = 5033 kg/m3
Energy of formation from the pure elements = -0.75 eV/atom

---

No. 10
DFT (GGA-PBE) results for a relaxed BaNi9As5 crystal.

abc: 6.7603 6.7603 11.3177
angles: 90.00 90.00 120.00
Space group P6_3/mmc (No. 194)
Unique sites:
Ba: 0.0000 0.0000 0.0000 x2
Ni: 0.0712 0.5356 0.1065 x12
Ni: 0.2089 0.4178 0.7500 x6
As: 0.1728 0.3457 0.2500 x6
As: 0.3333 0.6667 0.5609 x4

Results
ρ = 7712 kg/m3
Energy of formation from the pure elements = -0.46 eV/atom

---

No. 11
DFT (GGA-PBE) results for a relaxed Ba3As2O8 crystal.

abc: 5.8815 5.8815 21.6116
angles: 90.00 90.00 120.00
Space group R-3m (No. 166, hexagonal axes)
Unique sites:
Ba: 0.0000 0.0000 0.0000 x3
Ba: 0.0000 0.0000 0.2070 x6
As: 0.0000 0.0000 0.4072 x6
O: 0.0000 0.0000 0.3278 x6
O: 0.0129 0.5065 0.2327 x18

Results
ρ = 5308 kg/m3
Energy of formation from the pure elements = -2.69 eV/atom

---

No. 12
DFT (GGA-PBE) results for a relaxed BaAs2O5 crystal.

abc: 8.343 8.667 8.921
angles: 92.21 103.69 90.74
Space group P-1 (No. 2)
Unique sites:
Ba: 0.236 0.084 0.392 x2
Ba: 0.261 0.640 0.540 x2
As: 0.044 0.630 0.854 x2
As: 0.118 0.261 0.765 x2
As: 0.368 0.381 0.141 x2
As: 0.497 0.742 0.239 x2
O: 0.031 0.834 0.378 x2
O: 0.051 0.463 0.717 x2
O: 0.076 0.997 0.022 x2
O: 0.084 0.770 0.734 x2
O: 0.181 0.350 0.215 x2
O: 0.282 0.279 0.654 x2
O: 0.301 0.947 0.716 x2
O: 0.435 0.837 0.390 x2
O: 0.446 0.542 0.288 x2
O: 0.471 0.236 0.248 x2

Results
ρ = 3895 kg/m3
Energy of formation from the pure elements = -1.53 eV/atom

---

Q: Which value of ρ does entry 10 give?
A: 7712 kg/m3